DFT (GGA+U) results for a geometry-optimized BaSr7Mn2Fe6O24 structure.

- formation energy (eV per atom) = -2.2715

abc: 7.8291 11.1281 11.1246
angles: 90.00 90.00 90.00
Space group Amm2 (No. 38)
Symmetry-distinct sites (fractional):
Ba: 0.0000 0.0000 0.0000 x2
Sr: 0.0000 0.0000 0.5015 x2
Sr: 0.0000 0.2492 0.7507 x4
Sr: 0.5000 0.0000 0.9999 x2
Sr: 0.5000 0.0000 0.5015 x2
Sr: 0.5000 0.2492 0.7507 x4
Mn: 0.2510 0.0000 0.7498 x4
Fe: 0.2510 0.0000 0.2519 x4
Fe: 0.2510 0.2488 0.5008 x8
O: 0.0000 0.0000 0.2548 x2
O: 0.0000 0.0000 0.7460 x2
O: 0.0000 0.2459 0.5007 x4
O: 0.2512 0.1231 0.6267 x8
O: 0.2512 0.1244 0.3764 x8
O: 0.2543 0.1258 0.8718 x8
O: 0.2542 0.1271 0.1278 x8
O: 0.5000 0.0000 0.2519 x2
O: 0.5000 0.0000 0.7497 x2
O: 0.5000 0.2488 0.5007 x4